Record 1
! LaFeAsO | Materials Project | PBE+U | optimized geometry; values from VASP
&SYSTEM
  ibrav = 0, nat = 16, ntyp = 4
/
ATOMIC_SPECIES
Fe 55.84 Fe.upf
As 74.92 As.upf
O 16.00 O.upf
La 138.91 La.upf
CELL_PARAMETERS angstrom
4.1387 0.0009 -0.0021
0.0019 8.2593 -0.0286
-0.0048 -0.0341 9.1598
ATOMIC_POSITIONS crystal
Fe 0.7509 0.6261 0.5007
Fe 0.2426 0.3730 0.5005
Fe 0.2513 0.8702 0.5019
Fe 0.7420 0.1271 0.4985
As 0.7524 0.8788 0.3310
As 0.2531 0.1208 0.6717
As 0.2522 0.6217 0.6673
As 0.7529 0.3828 0.3291
O 0.7503 0.6252 0.9994
O 0.2503 0.8751 0.9993
O 0.7501 0.1252 0.0010
O 0.2501 0.3747 0.9998
La 0.2502 0.6262 0.1312
La 0.2508 0.1255 0.1312
La 0.7500 0.8740 0.8679
La 0.7507 0.3736 0.8695
! V	313.1	Å³/cell
! raw total energy	-6.774	eV per atom
! space group	P1 (1)
! ρ	6.06	g/cm³

---

Record 2
! NaMnO2 | Materials Project | PBE+U | optimized geometry; values from VASP
&SYSTEM
  ibrav = 0, nat = 8, ntyp = 3
/
ATOMIC_SPECIES
O 16.00 O.upf
Mn 54.94 Mn.upf
Na 22.99 Na.upf
CELL_PARAMETERS angstrom
-1.2101 2.6957 0.9328
0.4570 -2.2832 2.0444
10.0146 3.8013 2.0067
ATOMIC_POSITIONS crystal
O 0.3333 0.6667 0.0983
O 0.6667 0.3333 0.9017
O 0.6667 0.3333 0.5983
O 0.3333 0.6667 0.4017
Mn 0.0000 0.0000 0.0000
Mn 0.0000 0.0000 0.5000
Na 0.3333 0.6667 0.7500
Na 0.6667 0.3333 0.2500
! V	90.6	Å³/cell
! space group	P6_3/mmc (194)
! ρ	4.03	g/cm³
! energy relative to the lowest polymorph listed for this composition	108.2	meV/atom

---

Record 3
! NbCo3O8 | Materials Project | PBE+U | optimized geometry; values from VASP
&SYSTEM
  ibrav = 0, nat = 24, ntyp = 3
/
ATOMIC_SPECIES
Co 58.93 Co.upf
O 16.00 O.upf
Nb 92.91 Nb.upf
CELL_PARAMETERS angstrom
4.9281 2.8430 0.0000
-4.9281 2.8430 0.0000
0.0000 0.0276 9.2277
ATOMIC_POSITIONS crystal
Co 0.6623 0.8311 0.2844
Co 0.8311 0.6623 0.7844
Co 0.8314 0.1689 0.7843
Co 0.1689 0.8314 0.2843
Co 0.1689 0.3378 0.2843
Co 0.3378 0.1689 0.7843
O 0.1631 0.8364 0.8982
O 0.3325 0.6660 0.3876
O 0.6660 0.3325 0.8876
O 0.4829 0.5188 0.1711
O 0.1631 0.3257 0.8986
O 0.9639 0.4825 0.6709
O 0.8365 0.6736 0.3985
O 0.5187 0.0363 0.6708
O 0.0006 0.0007 0.6925
O 0.5188 0.4829 0.6711
O 0.4825 0.9639 0.1709
O 0.6736 0.8365 0.8985
O 0.3257 0.1631 0.3986
O 0.0007 0.0006 0.1925
O 0.0363 0.5187 0.1708
O 0.8364 0.1631 0.3982
Nb 0.6658 0.3322 0.5009
Nb 0.3322 0.6658 0.0009
! V	258.6	Å³/cell
! space group	Cc (9)
! ρ	5.11	g/cm³
! energy relative to the lowest polymorph listed for this composition	28.3	meV/atom

---

Record 4
! Li9Mn2Co5O16 | Materials Project | PBE+U | optimized geometry; values from VASP
&SYSTEM
  ibrav = 0, nat = 32, ntyp = 4
/
ATOMIC_SPECIES
O 16.00 O.upf
Co 58.93 Co.upf
Li 6.94 Li.upf
Mn 54.94 Mn.upf
CELL_PARAMETERS angstrom
5.0019 0.0000 0.0000
1.0795 5.1118 0.0000
0.5400 1.2085 11.2603
ATOMIC_POSITIONS crystal
O 0.8595 0.6613 0.1097
O 0.1493 0.5901 0.6527
O 0.1402 0.3308 0.8957
O 0.6246 0.9329 0.2809
O 0.6468 0.4445 0.7818
O 0.6031 0.7116 0.5167
O 0.8467 0.4262 0.3442
O 0.3982 0.3225 0.4574
O 0.8613 0.9111 0.8581
O 0.1380 0.8294 0.3893
O 0.3616 0.0561 0.7178
O 0.1403 0.0832 0.1468
O 0.8651 0.1717 0.6057
O 0.3707 0.7859 0.9816
O 0.6259 0.1730 0.0421
O 0.3730 0.5686 0.2217
Co 0.5074 0.6223 0.3771
Co 0.0017 0.2560 0.7452
Co 0.5048 0.1344 0.8682
Co 0.9970 0.7328 0.2574
Co 0.4867 0.3895 0.6164
Li 0.7534 0.5768 0.9283
Li 0.7629 0.8134 0.6815
Li 0.0028 0.5001 0.5005
Li 0.7510 0.0679 0.4413
Li 0.2382 0.1831 0.3251
Li 0.2486 0.4335 0.0617
Li 0.2330 0.9261 0.5668
Li 0.7541 0.3089 0.1923
Li 0.2538 0.6898 0.8045
Mn 0.0020 0.9987 0.0015
Mn 0.4984 0.8676 0.1300
! V	287.9	Å³/cell
! space group	P1 (1)
! ρ	4.17	g/cm³
! energy relative to the lowest polymorph listed for this composition	58.7	meV/atom

---

Record 5
! W4C3O | Materials Project | PBE+U | optimized geometry; values from VASP
&SYSTEM
  ibrav = 0, nat = 8, ntyp = 3
/
ATOMIC_SPECIES
C 12.01 C.upf
W 183.84 W.upf
O 16.00 O.upf
CELL_PARAMETERS angstrom
1.4768 -2.5578 0.0000
1.4768 2.5578 0.0000
0.0000 0.0000 11.9007
ATOMIC_POSITIONS crystal
C 0.6667 0.3333 0.0000
C 0.6667 0.3333 0.7553
C 0.6667 0.3333 0.2447
W 0.0000 0.0000 0.3608
W 0.0000 0.0000 0.6392
W 0.0000 0.0000 0.8787
W 0.0000 0.0000 0.1213
O 0.6667 0.3333 0.5000
! V	89.9	Å³/cell
! raw total energy	-7.347	eV per atom
! space group	P-6m2 (187)
! ρ	14.54	g/cm³

---

Record 6
! Ca8Ti2Mn6O21 | Materials Project | PBE+U | optimized geometry; values from VASP
&SYSTEM
  ibrav = 0, nat = 37, ntyp = 4
/
ATOMIC_SPECIES
Ca 40.08 Ca.upf
O 16.00 O.upf
Mn 54.94 Mn.upf
Ti 47.87 Ti.upf
CELL_PARAMETERS angstrom
7.8798 0.0000 -0.0137
0.0000 7.7907 0.0000
-0.0139 0.0000 7.7789
ATOMIC_POSITIONS crystal
Ca 0.2183 0.7249 0.2554
Ca 0.2654 0.7253 0.6955
Ca 0.7452 0.7650 0.7019
Ca 0.7418 0.2661 0.2547
Ca 0.2654 0.2747 0.6955
Ca 0.2183 0.2751 0.2554
Ca 0.7452 0.2350 0.7019
Ca 0.7418 0.7339 0.2547
O 0.0165 0.5000 0.7637
O 0.4867 0.2535 0.0042
O 0.2508 0.0000 0.0373
O 0.5008 0.2534 0.4650
O 0.9672 0.2036 0.0903
O 0.2610 0.5000 0.4770
O 0.2548 0.0000 0.4787
O 0.0118 0.2477 0.5116
O 0.4773 0.5000 0.7417
O 0.9672 0.7964 0.0903
O 0.5540 0.0000 0.7648
O 0.0118 0.7523 0.5116
O 0.5008 0.7466 0.4650
O 0.4867 0.7465 0.0042
O 0.7410 0.5000 0.4958
O 0.7293 0.5000 0.0467
O 0.6202 0.0000 0.1891
O 0.2471 0.5000 0.0475
O 0.9596 0.0000 0.7745
O 0.9969 0.5000 0.2644
O 0.7633 0.0000 0.4888
Mn 0.5091 0.0000 0.4642
Mn 0.5031 0.5000 0.4944
Mn 0.9960 0.5000 0.5085
Mn 0.9876 0.5000 0.0148
Mn 0.4892 0.5000 0.9909
Mn 0.0071 0.0000 0.5068
Ti 0.4892 0.0000 0.9966
Ti 0.0225 0.0000 0.9969
! V	477.5	Å³/cell
! space group	Pm (6)
! ρ	3.76	g/cm³
! energy relative to the lowest polymorph listed for this composition	33.1	meV/atom

---

> Which of these has the lowest V?

W4C3O